# 1
NdTlCd: relaxed, GGA-PBE.

The calculated density comes out at 9.2 g/cm3. For the formation energy, the calculation gives -0.331 eV per atom. For the total DFT energy (no corrections), the calculation gives -3.02 eV/atom.

The structure belongs to space group P6_3/mmc (No. 194); the cell edges are 5.0370, 5.0370 and 7.5478 Å and the angles 90.00°, 90.00° and 120.00°. Symmetry generates all atoms from Nd at (0.0000, 0.0000, 0.0000), Tl at (0.3333, 0.6667, 0.2500) and Cd at (0.3333, 0.6667, 0.7500).


# 2
NdZn2Cd: relaxed, GGA-PBE.

The calculated density comes out at 7.6 g/cm3. For the formation energy, the calculation gives -0.331 eV per atom. For the total DFT energy (no corrections), the calculation gives -2.38 eV/atom.

The structure belongs to space group Fm-3m (No. 225); the cell edges are 6.961, 6.961 and 6.961 Å and the angles 90.00°, 90.00° and 90.00°. Symmetry generates all atoms from Nd at (0.000, 0.000, 0.000), Zn at (0.250, 0.250, 0.250) and Cd at (0.000, 0.000, 0.500).


# 3
Cd3Ni: relaxed, GGA-PBE.

The calculated density comes out at 9.0 g/cm3. For the formation energy, the calculation gives 0.085 eV per atom. The value obtained for the magnetic moment is 0.000 μB per cell. For the total DFT energy (no corrections), the calculation gives -2.05 eV/atom.

The structure belongs to space group Pm-3m (No. 221); the cell edges are 4.180, 4.180 and 4.180 Å and the angles 90.00°, 90.00° and 90.00°. Symmetry generates all atoms from Cd at (0.000, 0.000, 0.500) and Ni at (0.500, 0.500, 0.500).


> Which of these has the lowest total DFT energy (no corrections)?

NdTlCd


> Among the records above, which one has the lowest total DFT energy (no corrections)?

NdTlCd


> What is the formula in the first record?

NdTlCd